[1]
VASP calculation (PBE) on a relaxed LiBi4P7O24 crystal.

a b c (Å): 11.0055 11.1368 11.6240
angles (deg): 112.28 108.89 104.86
With the nearest neighbours (Å) after each atom.
Atoms (fractional coordinates):
Li 0.0331 0.3270 0.6179  1 O 1.90
Li 0.9669 0.6730 0.3821  1 O 1.90
Bi 0.2409 0.8247 0.7468  6 O 2.24-2.44
Bi 0.0792 0.7121 0.0643  5 O 2.26-2.39
Bi 0.3733 0.2331 0.8885  4 O 2.23-2.46
Bi 0.4281 0.5987 0.4036  5 O 2.25-2.46
Bi 0.5719 0.4013 0.5964  5 O 2.25-2.46
Bi 0.6267 0.7669 0.1115  4 O 2.23-2.46
Bi 0.9208 0.2879 0.9357  5 O 2.26-2.39
Bi 0.7591 0.1753 0.2532  6 O 2.24-2.44
P 0.9977 0.9743 0.7730  4 O 1.49-1.62
P 0.2232 0.8148 0.4259  4 O 1.51-1.62
P 0.0762 0.3354 0.2988  4 O 1.51-1.66
P 0.5161 0.7253 0.7637  4 O 1.52-1.63
P 0.2444 0.1153 0.5043  4 O 1.50-1.62
P 0.3987 0.9636 0.1410  4 O 1.51-1.62
P 0.2993 0.5234 0.0374  4 O 1.55-1.57
P 0.7007 0.4766 0.9626  4 O 1.55-1.57
P 0.6013 0.0364 0.8590  4 O 1.51-1.62
P 0.7556 0.8847 0.4957  4 O 1.50-1.62
P 0.4839 0.2747 0.2363  4 O 1.52-1.63
P 0.9238 0.6646 0.7012  4 O 1.51-1.66
P 0.7768 0.1852 0.5741  4 O 1.51-1.62
P 0.0023 0.0257 0.2270  4 O 1.49-1.62
O 0.0120 0.6582 0.8288  1 P 1.53
O 0.9949 0.6585 0.6058  1 P 1.54
O 0.3261 0.9182 0.9867  1 P 1.51
O 0.0225 0.9128 0.1245  1 P 1.49
O 0.1581 0.8009 0.5224  1 P 1.55
O 0.0946 0.7257 0.2767  1 P 1.54
O 0.2547 0.3674 0.9221  1 P 1.56
O 0.1514 0.0078 0.7997  1 P 1.53
O 0.2844 0.9817 0.4664  2 P 1.60-1.62
O 0.3591 0.6878 0.7266  1 P 1.54
O 0.0822 0.0539 0.3852  2 P 1.62
O 0.0734 0.1730 0.2332  2 P 1.59-1.66
O 0.2315 0.4415 0.3820  1 P 1.51
O 0.2385 0.1663 0.6411  1 P 1.50
O 0.1545 0.5314 0.0210  1 P 1.57
O 0.3494 0.7793 0.4457  1 P 1.51
O 0.3113 0.8709 0.1812  1 P 1.54
O 0.6066 0.7464 0.9062  1 P 1.52
O 0.5834 0.8751 0.7662  2 P 1.62-1.63
O 0.3413 0.2217 0.4868  1 P 1.50
O 0.5261 0.6152 0.6420  1 P 1.54
O 0.4465 0.0245 0.8076  1 P 1.56
O 0.6131 0.3690 0.9916  1 P 1.55
O 0.3910 0.5544 0.1870  1 P 1.55
O 0.6090 0.4456 0.8130  1 P 1.55
O 0.3869 0.6310 0.0084  1 P 1.55
O 0.5535 0.9755 0.1924  1 P 1.56
O 0.4739 0.3848 0.3580  1 P 1.54
O 0.6587 0.7783 0.5132  1 P 1.50
O 0.4166 0.1249 0.2338  2 P 1.62-1.63
O 0.3934 0.2536 0.0938  1 P 1.52
O 0.6887 0.1291 0.8188  1 P 1.54
O 0.6506 0.2207 0.5543  1 P 1.51
O 0.8455 0.4686 0.9790  1 P 1.57
O 0.7615 0.8337 0.3589  1 P 1.50
O 0.7685 0.5585 0.6180  1 P 1.51
O 0.9266 0.8270 0.7668  2 P 1.59-1.66
O 0.9178 0.9461 0.6148  2 P 1.62
O 0.6409 0.3122 0.2734  1 P 1.54
O 0.7156 0.0183 0.5336  2 P 1.60-1.62
O 0.8486 0.9922 0.2003  1 P 1.53
O 0.7453 0.6326 0.0779  1 P 1.56
O 0.9054 0.2743 0.7233  1 P 1.54
O 0.8419 0.1991 0.4776  1 P 1.55
O 0.9775 0.0872 0.8755  1 P 1.49
O 0.6739 0.0818 0.0133  1 P 1.51
O 0.0051 0.3415 0.3942  1 P 1.54
O 0.9880 0.3418 0.1712  1 P 1.53

Computed properties:
Electronic total energy ... -6.81 eV per atom
DFT formation energy ... -2.43 eV per atom
SG ... P-1 (2)


[2]
VASP calculation (PBE) on a relaxed LiBiP4O12 crystal.

a b c (Å): 9.0296 9.0296 9.8465
angles (deg): 57.36 57.36 46.81
With the nearest neighbours (Å) after each atom.
Atoms (fractional coordinates):
Li 0.7025 0.2975 0.7500  4 O 1.99-2.00
Li 0.2975 0.7025 0.2500  4 O 1.99-2.00
Bi 0.1966 0.8034 0.7500  6 O 2.37-2.46
Bi 0.8034 0.1966 0.2500  6 O 2.37-2.46
P 0.0047 0.7029 0.1934  4 O 1.50-1.62
P 0.4139 0.3077 0.1169  4 O 1.50-1.62
P 0.6923 0.5861 0.3831  4 O 1.50-1.62
P 0.2971 0.9953 0.3066  4 O 1.50-1.62
P 0.7029 0.0047 0.6934  4 O 1.50-1.62
P 0.3077 0.4139 0.6169  4 O 1.50-1.62
P 0.5861 0.6923 0.8831  4 O 1.50-1.62
P 0.9953 0.2971 0.8066  4 O 1.50-1.62
O 0.5955 0.1678 0.1895  1 P 1.50
O 0.2165 0.4707 0.2283  2 P 1.61-1.62
O 0.9800 0.7615 0.0290  1 P 1.50
O 0.8252 0.6687 0.3482  2 P 1.60-1.62
O 0.9805 0.1609 0.7766  1 P 1.51
O 0.3313 0.1748 0.1518  2 P 1.60-1.62
O 0.2385 0.0200 0.4710  1 P 1.50
O 0.5795 0.5557 0.5681  1 P 1.51
O 0.4443 0.4205 0.9319  1 P 1.51
O 0.5293 0.7835 0.2717  2 P 1.61-1.62
O 0.8322 0.4045 0.3105  1 P 1.50
O 0.8391 0.0195 0.7234  1 P 1.51
O 0.1609 0.9805 0.2766  1 P 1.51
O 0.1678 0.5955 0.6895  1 P 1.50
O 0.4707 0.2165 0.7283  2 P 1.61-1.62
O 0.5557 0.5795 0.0681  1 P 1.51
O 0.4205 0.4443 0.4319  1 P 1.51
O 0.7615 0.9800 0.5290  1 P 1.50
O 0.6687 0.8252 0.8482  2 P 1.60-1.62
O 0.0195 0.8391 0.2234  1 P 1.51
O 0.1748 0.3313 0.6518  2 P 1.60-1.62
O 0.0200 0.2385 0.9710  1 P 1.50
O 0.7835 0.5293 0.7717  2 P 1.61-1.62
O 0.4045 0.8322 0.8105  1 P 1.50

Computed properties:
Electronic total energy ... -6.93 eV per atom
DFT formation energy ... -2.57 eV per atom
SG ... C2/c (15)
Energy above the lowest structure with this stoichiometry ... 0 meV per atom


[3]
VASP calculation (PBE) on a relaxed Li3Bi2P5O18 crystal.

a b c (Å): 6.8484 9.9160 11.1916
angles (deg): 95.45 92.51 90.29
With the nearest neighbours (Å) after each atom.
Atoms (fractional coordinates):
Li 0.8280 0.1190 0.3468  4 O 1.91-2.05
Li 0.1720 0.8810 0.6532  4 O 1.91-2.05
Li 0.8940 0.8214 0.3023  3 O 1.91-1.92
Li 0.6635 0.6398 0.1636  4 O 2.00-2.17
Li 0.3365 0.3602 0.8364  4 O 2.00-2.17
Li 0.1060 0.1786 0.6977  3 O 1.91-1.92
Bi 0.3295 0.7674 0.9543  5 O 2.20-2.43
Bi 0.7630 0.6481 0.6069  6 O 2.18-2.33
Bi 0.2370 0.3519 0.3931  6 O 2.18-2.33
Bi 0.6705 0.2326 0.0457  5 O 2.20-2.43
P 0.2755 0.5782 0.6478  4 O 1.52-1.58
P 0.1537 0.5791 0.1885  4 O 1.50-1.63
P 0.8292 0.7117 0.9084  4 O 1.52-1.62
P 0.7750 0.9883 0.5969  4 O 1.50-1.60
P 0.4754 0.0452 0.7939  4 O 1.51-1.61
P 0.2250 0.0117 0.4031  4 O 1.50-1.60
P 0.1708 0.2883 0.0916  4 O 1.52-1.62
P 0.5246 0.9548 0.2061  4 O 1.51-1.61
P 0.7245 0.4218 0.3522  4 O 1.52-1.58
P 0.8463 0.4209 0.8115  4 O 1.50-1.63
O 0.9272 0.5646 0.8790  2 P 1.62-1.63
O 0.5925 0.9867 0.6793  2 P 1.59-1.61
O 0.3756 0.9341 0.0980  1 P 1.55
O 0.0401 0.9876 0.3250  1 P 1.51
O 0.9599 0.0124 0.6750  1 P 1.51
O 0.6244 0.0659 0.9020  1 P 1.55
O 0.4075 0.0133 0.3207  2 P 1.59-1.61
O 0.7385 0.0810 0.4997  1 P 1.50
O 0.6649 0.0749 0.1911  1 P 1.55
O 0.3698 0.1705 0.7612  1 P 1.51
O 0.2306 0.1604 0.4730  1 P 1.60
O 0.0012 0.1968 0.0442  1 P 1.52
O 0.2638 0.2475 0.2127  1 P 1.56
O 0.0237 0.3334 0.7993  1 P 1.50
O 0.6806 0.3718 0.8843  1 P 1.53
O 0.9010 0.3213 0.3615  1 P 1.58
O 0.3350 0.3006 0.0056  1 P 1.52
O 0.5579 0.3557 0.4189  1 P 1.56
O 0.7558 0.4546 0.6860  1 P 1.58
O 0.3351 0.9251 0.8089  1 P 1.55
O 0.6687 0.4439 0.2223  1 P 1.52
O 0.0728 0.4354 0.1210  2 P 1.62-1.63
O 0.2132 0.4369 0.5801  1 P 1.58
O 0.3313 0.5561 0.7777  1 P 1.52
O 0.7868 0.5631 0.4199  1 P 1.58
O 0.2442 0.5454 0.3140  1 P 1.58
O 0.4421 0.6443 0.5811  1 P 1.56
O 0.6650 0.6994 0.9944  1 P 1.52
O 0.0990 0.6787 0.6385  1 P 1.58
O 0.3194 0.6282 0.1157  1 P 1.53
O 0.9763 0.6666 0.2007  1 P 1.50
O 0.7362 0.7525 0.7873  1 P 1.56
O 0.9988 0.8032 0.9558  1 P 1.52
O 0.7694 0.8396 0.5270  1 P 1.60
O 0.6302 0.8295 0.2388  1 P 1.51
O 0.2615 0.9190 0.5003  1 P 1.50

Computed properties:
Electronic total energy ... -6.62 eV per atom
DFT formation energy ... -2.44 eV per atom
SG ... P-1 (2)